Li3Nb7O19 after structural relaxation, computed with GGA-PBE.

Results
formation energy: -2881 meV/atom
size of the total moment: 0.00 Bohr magnetons per cell

Lattice parameters (Å, degrees): 6.3429 6.3429 20.3374 90.00 90.00 120.00
With the nearest neighbours (Å) after each atom.
Space group P6_3/m (No. 176)
Symmetry-distinct sites (fractional):
Li1 0.0000 0.5000 0.0000  2 O 1.88
Nb1 0.0000 0.0000 0.0000  6 O 2.02
Nb2 0.0296 0.3347 0.1553  6 O 1.94-2.07
O1 0.0000 0.0000 0.1643  3 Nb 2.04
O2 0.0368 0.2822 0.0551  1 Li 1.88, 2 Nb 2.02-2.07
O3 0.0728 0.3640 0.2500  2 Nb 1.94
O4 0.0858 0.4204 0.6519  2 Nb 2.02-2.05
O5 0.3333 0.6667 0.1370  3 Nb 2.06